# 1
First-principles (r²SCAN) data for a relaxed structure of La2Ga7Au, as listed in the Materials Project database.

Cell: 4.428 4.428 10.439 Å, 90.00 90.00 90.00°
Element x y z (fractional)
La 0.000 0.000 0.996
La 0.500 0.500 0.492
Ga 0.000 0.000 0.620
Ga 0.000 0.500 0.250
Ga 0.500 0.000 0.250
Ga 0.000 0.500 0.749
Ga 0.500 0.000 0.749
Ga 0.500 0.500 0.885
Ga 0.000 0.000 0.383
Au 0.500 0.500 0.125

Computed properties:
* total magnetic moment: 0.0 μB/f.u.
* V: 204.67 Å³ per cell
* E_tot: -19.68 eV/atom

---

# 2
First-principles (r²SCAN) data for a relaxed structure of Li2GaAu, as listed in the Materials Project database.

Cell: 4.353 4.353 4.353 Å, 60.00 60.00 60.00°
Element x y z (fractional)
Li 0.500 0.500 0.500
Li 0.250 0.250 0.250
Au 0.750 0.750 0.750
Ga 0.000 0.000 0.000

Computed properties:
* total magnetic moment: 0.0 μB/f.u.
* V: 58.31 Å³ per cell
* E_tot: -17.25 eV/atom

---

# 3
First-principles (r²SCAN) data for a relaxed structure of LuGaAu, as listed in the Materials Project database.

Cell: 5.578 5.578 6.915 Å, 52.63 52.63 46.50°
Element x y z (fractional)
Ga 0.158 0.158 0.893
Ga 0.842 0.842 0.107
Lu 0.464 0.464 0.297
Lu 0.536 0.536 0.703
Au 0.177 0.177 0.286
Au 0.823 0.823 0.714

Computed properties:
* total magnetic moment: 0.0 μB/f.u.
* V: 117.16 Å³ per cell
* E_tot: -34.23 eV/atom

---

# 4
First-principles (r²SCAN) data for a relaxed structure of NdGa3Au, as listed in the Materials Project database.

Cell: 4.298 4.298 6.186 Å, 69.75 69.75 90.13°
Element x y z (fractional)
Ga 0.391 0.391 0.217
Ga 0.250 0.751 0.499
Ga 0.751 0.250 0.499
Au 0.622 0.622 0.756
Nd 0.986 0.986 0.028

Computed properties:
* total magnetic moment: 0.0 μB/f.u.
* V: 99.62 Å³ per cell
* E_tot: -23.56 eV/atom

---

# 5
First-principles (r²SCAN) data for a relaxed structure of GaAuO2, as listed in the Materials Project database.

Cell: 3.006 3.006 12.335 Å, 90.00 90.00 120.00°
Element x y z (fractional)
O 0.667 0.333 0.920
O 0.667 0.333 0.580
O 0.333 0.667 0.420
O 0.333 0.667 0.080
Ga 0.000 0.000 0.500
Ga 0.000 0.000 0.000
Au 0.667 0.333 0.750
Au 0.333 0.667 0.250

Computed properties:
* total magnetic moment: 0.0 μB/f.u.
* V: 96.55 Å³ per cell
* E_tot: -19.84 eV/atom

---

# 6
First-principles (r²SCAN) data for a relaxed structure of PmGaAu2, as listed in the Materials Project database.

Cell: 4.897 4.897 4.897 Å, 60.00 60.00 60.00°
Element x y z (fractional)
Ga 0.250 0.250 0.250
Au 0.500 0.500 0.500
Au 0.000 0.000 0.000
Pm 0.750 0.750 0.750

Computed properties:
* total magnetic moment: 0.0 μB/f.u.
* V: 83.05 Å³ per cell
* E_tot: -36.21 eV/atom

---

# 7
First-principles (r²SCAN) data for a relaxed structure of Pr2Ga5Au3, as listed in the Materials Project database.

Cell: 4.381 4.381 10.541 Å, 90.00 90.00 90.00°
Element x y z (fractional)
Ga 0.500 0.000 0.365
Ga 0.500 0.500 0.000
Ga 0.000 0.500 0.635
Ga 0.000 0.000 0.500
Ga 0.000 0.000 0.000
Au 0.500 0.500 0.500
Au 0.500 0.000 0.129
Au 0.000 0.500 0.871
Pr 0.000 0.500 0.251
Pr 0.500 0.000 0.749

Computed properties:
* total magnetic moment: 0.0 μB/f.u.
* V: 202.32 Å³ per cell
* E_tot: -27.50 eV/atom

---

# 8
First-principles (r²SCAN) data for a relaxed structure of SmGaAu2, as listed in the Materials Project database.

Cell: 4.878 4.878 4.878 Å, 60.00 60.00 60.00°
Element x y z (fractional)
Sm 0.750 0.750 0.750
Au 0.500 0.500 0.500
Au 0.000 0.000 0.000
Ga 0.250 0.250 0.250

Computed properties:
* total magnetic moment: 0.0 μB/f.u.
* V: 82.08 Å³ per cell
* E_tot: -36.26 eV/atom

---

# 9
First-principles (r²SCAN) data for a relaxed structure of SmGa3Au, as listed in the Materials Project database.

Cell: 4.245 4.245 6.201 Å, 70.12 70.12 90.19°
Element x y z (fractional)
Ga 0.392 0.392 0.215
Ga 0.752 0.251 0.498
Ga 0.251 0.752 0.498
Sm 0.986 0.986 0.028
Au 0.620 0.620 0.761

Computed properties:
* total magnetic moment: 0.0 μB/f.u.
* V: 97.91 Å³ per cell
* E_tot: -23.60 eV/atom

---

# 10
First-principles (r²SCAN) data for a relaxed structure of SrGa4Au3, as listed in the Materials Project database.

Cell: 4.368 4.368 8.665 Å, 90.00 90.00 90.00°
Element x y z (fractional)
Au 0.500 0.500 0.339
Au 0.500 0.500 0.661
Au 0.000 0.000 0.000
Ga 0.000 0.500 0.172
Ga 0.500 0.000 0.828
Ga 0.000 0.500 0.828
Ga 0.500 0.000 0.172
Sr 0.000 0.000 0.500

Computed properties:
* total magnetic moment: 0.0 μB/f.u.
* V: 165.35 Å³ per cell
* E_tot: -27.07 eV/atom

---

# 11
First-principles (r²SCAN) data for a relaxed structure of TbGaAu, as listed in the Materials Project database.

Cell: 5.678 5.678 7.147 Å, 52.22 52.22 46.24°
Element x y z (fractional)
Ga 0.158 0.158 0.894
Ga 0.842 0.842 0.106
Au 0.823 0.823 0.716
Au 0.177 0.177 0.284
Tb 0.463 0.463 0.297
Tb 0.537 0.537 0.703

Computed properties:
* total magnetic moment: 0.0 μB/f.u.
* V: 124.14 Å³ per cell
* E_tot: -31.99 eV/atom

---

# 12
First-principles (r²SCAN) data for a relaxed structure of Tb3Ga8Au3, as listed in the Materials Project database.

Cell: 8.240 8.240 8.240 Å, 149.74 109.15 78.95°
Element x y z (fractional)
Ga 0.208 0.838 0.371
Ga 0.792 0.162 0.629
Ga 0.361 0.641 0.720
Ga 0.533 0.162 0.371
Ga 0.921 0.641 0.280
Ga 0.639 0.359 0.280
Ga 0.079 0.359 0.720
Ga 0.467 0.838 0.629
Tb 0.500 0.500 0.000
Tb 0.807 0.807 0.000
Tb 0.193 0.193 0.000
Au 0.209 0.000 0.209
Au 0.000 0.500 0.500
Au 0.791 0.000 0.791

Computed properties:
* total magnetic moment: 0.0 μB/f.u.
* V: 261.39 Å³ per cell
* E_tot: -24.69 eV/atom